! K3AlF6 | Materials Project | r2SCAN | optimized geometry; values from VASP
! Symmetry: Fm-3m, No. 225
! Size of the total moment in μB/atom: 0.00
! Formation enthalpy at 0 K in eV per atom: -3.408
! Crystal system: cubic
&SYSTEM
  ibrav = 0, nat = 10, ntyp = 3
/
ATOMIC_SPECIES
K 39.10 K.upf
Al 26.98 Al.upf
F 19.00 F.upf
CELL_PARAMETERS angstrom
-1.442 5.850 0.252
1.699 3.718 -4.433
-4.115 2.256 -3.786
ATOMIC_POSITIONS crystal
K 0.250 0.250 0.250
K 0.750 0.750 0.750
K 0.000 0.000 0.000
Al 0.500 0.500 0.500
F 0.712 0.288 0.288
F 0.712 0.288 0.712
F 0.712 0.712 0.288
F 0.288 0.712 0.712
F 0.288 0.712 0.288
F 0.288 0.288 0.712